No. 1
Material: GeRh
Method: DFT, PBE-GGA
State: optimized geometry

The calculated density comes out at 9.41 g/cm3. As for the energy: -6.539 eV/atom.

a b c (Å): 3.282 5.749 6.567
angles (deg): 90.00 90.00 90.00
Atoms (fractional coordinates):
Ge: 0.750 0.807 0.439
Ge: 0.250 0.193 0.561
Ge: 0.750 0.307 0.061
Ge: 0.250 0.693 0.939
Rh: 0.750 0.996 0.797
Rh: 0.250 0.004 0.203
Rh: 0.750 0.496 0.703
Rh: 0.250 0.504 0.297

=====

No. 2
Material: Ba21Cd4Bi18
Method: DFT, PBE-GGA
State: optimized geometry

Its total magnetization is 0.01 Bohr magnetons per cell. The calculated density comes out at 6.61 g/cm3. As for the energy: -3.508 eV/atom.

a b c (Å): 13.632 13.632 38.414
angles (deg): 90.00 90.00 92.54
Atoms (fractional coordinates):
Ba: 0.731 0.269 0.797
Ba: 0.269 0.731 0.203
Ba: 0.769 0.231 0.297
Ba: 0.231 0.769 0.703
Ba: 0.412 0.940 0.871
Ba: 0.588 0.060 0.129
Ba: 0.088 0.560 0.371
Ba: 0.560 0.088 0.629
Ba: 0.912 0.440 0.629
Ba: 0.440 0.912 0.371
Ba: 0.940 0.412 0.129
Ba: 0.060 0.588 0.871
Ba: 0.392 0.268 0.829
Ba: 0.608 0.732 0.171
Ba: 0.108 0.232 0.329
Ba: 0.232 0.108 0.671
Ba: 0.892 0.768 0.671
Ba: 0.768 0.892 0.329
Ba: 0.268 0.392 0.171
Ba: 0.732 0.608 0.829
Ba: 0.425 0.326 0.940
Ba: 0.575 0.674 0.060
Ba: 0.075 0.174 0.440
Ba: 0.174 0.075 0.560
Ba: 0.925 0.826 0.560
Ba: 0.826 0.925 0.440
Ba: 0.326 0.425 0.060
Ba: 0.674 0.575 0.940
Ba: 0.742 0.936 0.823
Ba: 0.258 0.064 0.177
Ba: 0.758 0.564 0.323
Ba: 0.564 0.758 0.677
Ba: 0.242 0.436 0.677
Ba: 0.436 0.242 0.323
Ba: 0.936 0.742 0.177
Ba: 0.064 0.258 0.823
Ba: 0.502 0.825 0.968
Ba: 0.498 0.175 0.032
Ba: 0.998 0.675 0.468
Ba: 0.675 0.998 0.532
Ba: 0.002 0.325 0.532
Ba: 0.325 0.002 0.468
Ba: 0.825 0.502 0.032
Ba: 0.175 0.498 0.968
Ba: 0.757 0.937 0.925
Ba: 0.243 0.063 0.075
Ba: 0.743 0.563 0.425
Ba: 0.563 0.743 0.575
Ba: 0.257 0.437 0.575
Ba: 0.437 0.257 0.425
Ba: 0.937 0.757 0.075
Ba: 0.063 0.243 0.925
Ba: 0.225 0.011 0.961
Ba: 0.775 0.989 0.039
Ba: 0.275 0.489 0.461
Ba: 0.489 0.275 0.539
Ba: 0.725 0.511 0.539
Ba: 0.511 0.725 0.461
Ba: 0.011 0.225 0.039
Ba: 0.989 0.775 0.961
Ba: 0.729 0.008 0.719
Ba: 0.271 0.992 0.281
Ba: 0.771 0.492 0.219
Ba: 0.492 0.771 0.781
Ba: 0.229 0.508 0.781
Ba: 0.508 0.229 0.219
Ba: 0.008 0.729 0.281
Ba: 0.992 0.271 0.719
Ba: 0.894 0.106 0.622
Ba: 0.106 0.894 0.378
Ba: 0.606 0.394 0.122
Ba: 0.394 0.606 0.878
Ba: 0.744 0.256 0.958
Ba: 0.256 0.744 0.042
Ba: 0.756 0.244 0.458
Ba: 0.244 0.756 0.542
Ba: 0.486 0.272 0.722
Ba: 0.514 0.728 0.278
Ba: 0.014 0.228 0.222
Ba: 0.228 0.014 0.778
Ba: 0.986 0.772 0.778
Ba: 0.772 0.986 0.222
Ba: 0.272 0.486 0.278
Ba: 0.728 0.514 0.722
Cd: 0.992 0.008 0.854
Cd: 0.008 0.992 0.146
Cd: 0.508 0.492 0.354
Cd: 0.492 0.508 0.646
Cd: 0.609 0.150 0.873
Cd: 0.391 0.850 0.127
Cd: 0.891 0.350 0.373
Cd: 0.350 0.891 0.627
Cd: 0.109 0.650 0.627
Cd: 0.650 0.109 0.373
Cd: 0.150 0.609 0.127
Cd: 0.850 0.391 0.873
Cd: 0.649 0.351 0.627
Cd: 0.351 0.649 0.373
Cd: 0.851 0.149 0.127
Cd: 0.149 0.851 0.873
Bi: 0.596 0.771 0.879
Bi: 0.404 0.229 0.121
Bi: 0.904 0.729 0.379
Bi: 0.729 0.904 0.621
Bi: 0.096 0.271 0.621
Bi: 0.271 0.096 0.379
Bi: 0.771 0.596 0.121
Bi: 0.229 0.404 0.879
Bi: 0.532 0.080 0.944
Bi: 0.468 0.920 0.056
Bi: 0.968 0.420 0.444
Bi: 0.420 0.968 0.556
Bi: 0.032 0.580 0.556
Bi: 0.580 0.032 0.444
Bi: 0.080 0.532 0.056
Bi: 0.920 0.468 0.944
Bi: 0.749 0.251 0.561
Bi: 0.251 0.749 0.439
Bi: 0.751 0.249 0.061
Bi: 0.249 0.751 0.939
Bi: 0.533 0.069 0.798
Bi: 0.467 0.931 0.202
Bi: 0.967 0.431 0.298
Bi: 0.431 0.967 0.702
Bi: 0.033 0.569 0.702
Bi: 0.569 0.033 0.298
Bi: 0.069 0.533 0.202
Bi: 0.931 0.467 0.798
Bi: 0.925 0.075 0.515
Bi: 0.075 0.925 0.485
Bi: 0.575 0.425 0.015
Bi: 0.425 0.575 0.985
Bi: 0.745 0.255 0.690
Bi: 0.255 0.745 0.310
Bi: 0.755 0.245 0.190
Bi: 0.245 0.755 0.810
Bi: 0.200 0.078 0.871
Bi: 0.800 0.922 0.129
Bi: 0.300 0.422 0.371
Bi: 0.422 0.300 0.629
Bi: 0.700 0.578 0.629
Bi: 0.578 0.700 0.371
Bi: 0.078 0.200 0.129
Bi: 0.922 0.800 0.871
Bi: 0.840 0.160 0.876
Bi: 0.160 0.840 0.124
Bi: 0.660 0.340 0.376
Bi: 0.340 0.660 0.624
Bi: 0.526 0.474 0.790
Bi: 0.474 0.526 0.210
Bi: 0.974 0.026 0.290
Bi: 0.026 0.974 0.710
Bi: 0.937 0.063 0.777
Bi: 0.063 0.937 0.223
Bi: 0.563 0.437 0.277
Bi: 0.437 0.563 0.723
Bi: 0.738 0.762 0.750
Bi: 0.262 0.238 0.250
Bi: 0.762 0.738 0.250
Bi: 0.238 0.262 0.750
Bi: 0.952 0.048 0.969
Bi: 0.048 0.952 0.031
Bi: 0.548 0.452 0.469
Bi: 0.452 0.548 0.531
Bi: 0.754 0.754 0.000
Bi: 0.246 0.246 0.000
Bi: 0.746 0.746 0.500
Bi: 0.254 0.254 0.500
Bi: 0.617 0.383 0.875
Bi: 0.383 0.617 0.125
Bi: 0.883 0.117 0.375
Bi: 0.117 0.883 0.625

=====

No. 3
Material: SnH6CN3Cl3
Method: DFT, PBE-GGA
State: optimized geometry

Its total magnetization is 0.00 Bohr magnetons per cell. The calculated density comes out at 2.10 g/cm3. As for the energy: -5.133 eV/atom.

a b c (Å): 7.953 12.397 18.291
angles (deg): 90.00 90.00 90.00
Atoms (fractional coordinates):
Sn: 0.674 0.762 0.381
Sn: 0.174 0.738 0.619
Sn: 0.326 0.262 0.119
Sn: 0.826 0.238 0.881
Sn: 0.326 0.238 0.619
Sn: 0.826 0.262 0.381
Sn: 0.674 0.738 0.881
Sn: 0.174 0.762 0.119
H: 0.020 0.939 0.303
H: 0.520 0.561 0.697
H: 0.980 0.439 0.197
H: 0.480 0.061 0.803
H: 0.980 0.061 0.697
H: 0.480 0.439 0.303
H: 0.020 0.561 0.803
H: 0.520 0.939 0.197
H: 0.106 0.050 0.259
H: 0.606 0.450 0.741
H: 0.894 0.550 0.241
H: 0.394 0.950 0.759
H: 0.894 0.950 0.741
H: 0.394 0.550 0.259
H: 0.106 0.450 0.759
H: 0.606 0.050 0.241
H: 0.296 0.165 0.322
H: 0.796 0.335 0.678
H: 0.704 0.665 0.178
H: 0.204 0.835 0.822
H: 0.704 0.835 0.678
H: 0.204 0.665 0.322
H: 0.296 0.335 0.822
H: 0.796 0.165 0.178
H: 0.372 0.126 0.407
H: 0.872 0.374 0.593
H: 0.628 0.626 0.093
H: 0.128 0.874 0.907
H: 0.628 0.874 0.593
H: 0.128 0.626 0.407
H: 0.372 0.374 0.907
H: 0.872 0.126 0.093
H: 0.093 0.903 0.425
H: 0.593 0.597 0.575
H: 0.907 0.403 0.075
H: 0.407 0.097 0.925
H: 0.907 0.097 0.575
H: 0.407 0.403 0.425
H: 0.093 0.597 0.925
H: 0.593 0.903 0.075
H: 0.263 0.972 0.463
H: 0.763 0.528 0.537
H: 0.737 0.472 0.037
H: 0.237 0.028 0.963
H: 0.737 0.028 0.537
H: 0.237 0.472 0.463
H: 0.263 0.528 0.963
H: 0.763 0.972 0.037
C: 0.189 0.027 0.363
C: 0.689 0.473 0.637
C: 0.811 0.527 0.137
C: 0.311 0.973 0.863
C: 0.811 0.973 0.637
C: 0.311 0.527 0.363
C: 0.189 0.473 0.863
C: 0.689 0.027 0.137
N: 0.086 0.010 0.306
N: 0.586 0.490 0.694
N: 0.914 0.510 0.194
N: 0.414 0.990 0.806
N: 0.914 0.990 0.694
N: 0.414 0.510 0.306
N: 0.086 0.490 0.806
N: 0.586 0.010 0.194
N: 0.296 0.110 0.363
N: 0.796 0.390 0.637
N: 0.704 0.610 0.137
N: 0.204 0.890 0.863
N: 0.704 0.890 0.637
N: 0.204 0.610 0.363
N: 0.296 0.390 0.863
N: 0.796 0.110 0.137
N: 0.183 0.961 0.421
N: 0.683 0.539 0.579
N: 0.817 0.461 0.079
N: 0.317 0.039 0.921
N: 0.817 0.039 0.579
N: 0.317 0.461 0.421
N: 0.183 0.539 0.921
N: 0.683 0.961 0.079
Cl: 0.889 0.769 0.273
Cl: 0.389 0.731 0.727
Cl: 0.111 0.269 0.227
Cl: 0.611 0.231 0.773
Cl: 0.111 0.231 0.727
Cl: 0.611 0.269 0.273
Cl: 0.889 0.731 0.773
Cl: 0.389 0.769 0.227
Cl: 0.673 0.963 0.394
Cl: 0.173 0.537 0.606
Cl: 0.327 0.463 0.106
Cl: 0.827 0.037 0.894
Cl: 0.327 0.037 0.606
Cl: 0.827 0.463 0.394
Cl: 0.673 0.537 0.894
Cl: 0.173 0.963 0.106
Cl: 0.918 0.747 0.473
Cl: 0.418 0.753 0.527
Cl: 0.082 0.247 0.027
Cl: 0.582 0.253 0.973
Cl: 0.082 0.253 0.527
Cl: 0.582 0.247 0.473
Cl: 0.918 0.753 0.973
Cl: 0.418 0.747 0.027

=====

No. 4
Material: Nd4Zn11
Method: DFT, PBE-GGA
State: optimized geometry

Its total magnetization is 0.02 Bohr magnetons per cell. The calculated density comes out at 6.40 g/cm3. As for the energy: -2.069 eV/atom.

a b c (Å): 6.365 10.765 10.765
angles (deg): 84.99 72.80 72.80
Atoms (fractional coordinates):
Nd: 0.527 0.153 0.847
Nd: 0.527 0.847 0.153
Nd: 0.624 0.653 0.653
Nd: 0.723 0.653 0.347
Nd: 0.723 0.347 0.653
Nd: 0.929 0.347 0.347
Nd: 0.626 0.847 0.847
Nd: 0.321 0.153 0.153
Zn: 0.000 0.000 0.000
Zn: 0.250 0.500 0.500
Zn: 0.125 0.750 0.250
Zn: 0.125 0.250 0.750
Zn: 0.625 0.250 0.250
Zn: 0.125 0.750 0.750
Zn: 0.391 0.951 0.640
Zn: 0.982 0.049 0.360
Zn: 0.281 0.860 0.451
Zn: 0.859 0.860 0.549
Zn: 0.859 0.549 0.860
Zn: 0.592 0.140 0.549
Zn: 0.268 0.140 0.451
Zn: 0.268 0.451 0.140
Zn: 0.969 0.049 0.640
Zn: 0.969 0.640 0.049
Zn: 0.658 0.951 0.360
Zn: 0.658 0.360 0.951
Zn: 0.391 0.640 0.951
Zn: 0.982 0.360 0.049
Zn: 0.592 0.549 0.140
Zn: 0.281 0.451 0.860

=====

No. 5
Material: CaSiH2O4
Method: DFT, PBE-GGA
State: optimized geometry

Its total magnetization is 0.02 Bohr magnetons per cell. The calculated density comes out at 2.62 g/cm3. As for the energy: -6.527 eV/atom.

a b c (Å): 6.054 6.399 10.417
angles (deg): 82.10 73.11 61.77
Atoms (fractional coordinates):
Ca: 0.668 0.825 0.346
Ca: 0.838 0.175 0.654
Ca: 0.764 0.325 0.154
Ca: 0.243 0.675 0.846
Si: 0.277 0.821 0.132
Si: 0.230 0.179 0.868
Si: 0.160 0.321 0.368
Si: 0.848 0.679 0.632
H: 0.656 0.095 0.942
H: 0.693 0.905 0.058
H: 0.348 0.595 0.558
H: 0.501 0.405 0.442
H: 0.195 0.508 0.134
H: 0.837 0.492 0.866
H: 0.080 0.008 0.366
H: 0.453 0.992 0.634
O: 0.259 0.000 0.000
O: 0.009 0.500 0.500
O: 0.538 0.756 0.176
O: 0.469 0.244 0.824
O: 0.464 0.256 0.324
O: 0.043 0.744 0.676
O: 0.008 0.935 0.249
O: 0.192 0.065 0.751
O: 0.007 0.435 0.251
O: 0.693 0.565 0.749
O: 0.315 0.572 0.071
O: 0.958 0.428 0.929
O: 0.136 0.072 0.429
O: 0.637 0.928 0.571
O: 0.777 0.000 0.000
O: 0.527 0.500 0.500

=====

Short version: calculated formation energy = -545; -857; -682; 126; -2620 meV per atom, in the order given.